(1)
First-principles (PBE-GGA) data for crystalline ZnSn3 at its relaxed geometry, as listed in Materials Project.

Results
- raw total energy (eV per cell) = -25.7

Unit cell a=6.5710 b=6.5710 c=5.4568 alpha=90.00 beta=90.00 gamma=120.00
Space group P6_3/mmc (No. 194)
Unique sites:
Zn: 0.3333 0.6667 0.2500 (multiplicity 2)
Sn: 0.1692 0.3383 0.7500 (multiplicity 6)

(2)
First-principles (PBE-GGA) data for crystalline MgFeCuS2 at its relaxed geometry, as listed in Materials Project.

Results
- excess energy over the best structure of this formula in the dataset (meV/atom) = 220.8

Unit cell a=5.882 b=3.396 c=8.019 alpha=90.00 beta=104.10 gamma=90.00
Space group Cm (No. 8)
Unique sites:
Mg: 0.000 0.000 0.000 (multiplicity 2)
Fe: 0.033 0.500 0.595 (multiplicity 2)
Cu: 0.417 0.000 0.253 (multiplicity 2)
S: 0.257 0.000 0.769 (multiplicity 2)
S: 0.319 0.500 0.455 (multiplicity 2)

| no. | ρ (Mg/m³) |
| --- | --- |
| 1 | 6.9 |
| 2 | 4.4 |